[1]
Here is a relaxed structure of Zn2PdAu from the Materials Project. Energies are from r2SCAN.

a b c (Å): 3.0954 3.0954 6.1967
angles (deg): 90.00 90.00 90.00
Space group P4/mmm (No. 123)
Symmetry-distinct sites (fractional):
Zn1 0.0000 0.0000 0.2374 x2
Pd1 0.5000 0.5000 0.0000 x1
Au1 0.5000 0.5000 0.5000 x1

* ρ: 12.14 g/cm3
* total magnetization: 0.000 μB per cell
* formation enthalpy at 0 K: -0.3984 eV/atom

---

[2]
Here is a relaxed structure of PmAu3 from the Materials Project. Energies are from r2SCAN.

a b c (Å): 6.9624 6.9624 6.9624
angles (deg): 90.00 90.00 90.00
Space group Fm-3m (No. 225)
Symmetry-distinct sites (fractional):
Pm1 0.0000 0.0000 0.0000 x4
Au1 0.0000 0.0000 0.5000 x4
Au2 0.2500 0.2500 0.2500 x8

* energy above the lowest structure with this stoichiometry: 23 meV/atom
* ρ: 14.48 g/cm3
* total magnetization: 0.000 μB per cell
* formation enthalpy at 0 K: -0.7127 eV/atom

---

[3]
Here is a relaxed structure of Pm3Au from the Materials Project. Energies are from r2SCAN.

a b c (Å): 7.0486 7.0486 5.1776
angles (deg): 90.00 90.00 120.00
Space group P6_3/mmc (No. 194)
Symmetry-distinct sites (fractional):
Pm1 0.1790 0.3580 0.2500 x6
Au1 0.3333 0.6667 0.7500 x2

* ρ: 9.42 g/cm3
* total magnetization: 0.000 μB per cell
* formation enthalpy at 0 K: -0.2908 eV/atom